Model 1:
Nb5Sb4 after structural relaxation, computed with PBE.

Cell: 10.420 10.420 3.586 Å, 90.00 90.00 90.00°
Space group I4/m (No. 87)
Asymmetric unit:
Nb 0.000 0.000 0.000 [2 per cell]
Nb 0.128 0.188 0.500 [8 per cell]
Sb 0.053 0.707 0.000 [8 per cell]

=====

Model 2:
Nb5Sb4 after structural relaxation, computed with PBE.

Cell: 10.437 10.437 3.394 Å, 90.00 90.00 90.00°
Space group I4/m (No. 87)
Asymmetric unit:
Nb 0.000 0.000 0.000 [2 per cell]
Nb 0.046 0.344 0.000 [8 per cell]
Sb 0.135 0.822 0.500 [8 per cell]

Properties
total magnetic moment = 0.00 μB/f.u.

=====

Most stable structure, least stable structure: model 1, model 2.

=====

Model 1:
Nb3Si after structural relaxation, computed with PBE.

Cell: 10.274 10.274 5.219 Å, 90.00 90.00 90.00°
Space group P4_2/n (No. 86, origin choice 2)
Asymmetric unit:
Nb 0.036 0.560 0.236 [8 per cell]
Nb 0.104 0.234 0.023 [8 per cell]
Nb 0.153 0.665 0.716 [8 per cell]
Si 0.044 0.222 0.529 [8 per cell]

=====

Model 2:
Nb3Si after structural relaxation, computed with PBE.

Cell: 8.137 3.214 5.458 Å, 90.00 90.00 90.00°
Space group Amm2 (No. 38)
Asymmetric unit:
Nb 0.000 0.000 0.000 [2 per cell]
Nb 0.266 0.000 0.334 [4 per cell]
Si 0.500 0.000 0.670 [2 per cell]

Properties
total magnetic moment = 0.00 μB/f.u.

=====

Model 3:
Nb3Si after structural relaxation, computed with PBE.

Cell: 10.353 10.353 5.166 Å, 90.00 90.00 90.00°
Space group I-4 (No. 82)
Asymmetric unit:
Nb 0.018 0.143 0.235 [8 per cell]
Nb 0.082 0.599 0.011 [8 per cell]
Nb 0.188 0.717 0.498 [8 per cell]
Si 0.031 0.208 0.730 [8 per cell]

Properties
total magnetic moment = 0.00 μB/f.u.

=====

Model 4:
Nb3Si after structural relaxation, computed with PBE.

Cell: 5.128 5.128 5.128 Å, 90.00 90.00 90.00°
Space group Pm-3n (No. 223)
Asymmetric unit:
Nb 0.000 0.250 0.500 [6 per cell]
Si 0.000 0.000 0.000 [2 per cell]

Properties
total magnetic moment = 0.08 μB/f.u.

=====

Most stable structure, least stable structure: model 1, model 2.